{"formula": "BaTbFe2O5", "functional": "GGA+U", "state": "relaxed", "lattice": [[3.979, 0.000, 0.000], [0.000, 3.979, 0.000], [0.000, 0.000, 7.608]], "species": ["Ba", "Tb", "Fe", "Fe", "O", "O", "O", "O", "O"], "fractional_positions": [[0.000, 0.000, 0.000], [0.000, 0.000, 0.500], [0.500, 0.500, 0.268], [0.500, 0.500, 0.732], [0.500, 0.000, 0.315], [0.500, 0.000, 0.685], [0.000, 0.500, 0.315], [0.000, 0.500, 0.685], [0.500, 0.500, 0.000]], "total_magnetization_mub_per_cell": 9.0, "formation_enthalpy_0k_mev_per_atom": -2555}